(1)
This record from the Materials Project database describes an optimized crystal structure of Cu4SO12. The functional is PBE.

abc: 5.195 5.880 14.123
angles: 93.29 90.00 90.00
Fractional positions:
Cu 0.326 0.005 0.252
Cu 0.674 0.005 0.752
Cu 0.321 0.505 0.246
Cu 0.679 0.505 0.746
Cu 0.821 0.258 0.245
Cu 0.179 0.258 0.745
Cu 0.180 0.752 0.748
Cu 0.820 0.752 0.248
S 0.029 0.065 0.467
S 0.971 0.065 0.967
O 0.010 0.023 0.358
O 0.990 0.023 0.858
O 0.951 0.848 0.509
O 0.049 0.848 0.009
O 0.307 0.109 0.489
O 0.693 0.109 0.989
O 0.870 0.260 0.495
O 0.130 0.260 0.995
O 0.499 0.760 0.310
O 0.501 0.760 0.810
O 0.149 0.755 0.193
O 0.851 0.755 0.693
O 0.704 0.995 0.184
O 0.296 0.995 0.684
O 0.497 0.270 0.305
O 0.503 0.270 0.805
O 0.147 0.234 0.191
O 0.853 0.234 0.691
O 0.950 0.512 0.312
O 0.050 0.512 0.812
O 0.629 0.513 0.161
O 0.371 0.513 0.661
O 0.459 0.785 0.006
O 0.541 0.785 0.506

Properties
Its formation energy is -14.9 kcal/mol of atoms. The value obtained for the total energy is -4.86 eV/atom. The magnetization is 6.079 μB per formula unit. The calculation puts the MP2020-corrected energy at -0.393 Ry per atom.

=====

(2)
This record from the Materials Project database describes an optimized crystal structure of Lu2Te4O11. The functional is PBE.

abc: 6.681 6.681 16.150
angles: 75.76 75.76 44.91
Fractional positions:
Lu 0.631 0.129 0.037
Lu 0.871 0.369 0.463
Lu 0.369 0.871 0.963
Lu 0.129 0.631 0.537
Te 0.590 0.156 0.375
Te 0.844 0.410 0.125
Te 0.410 0.844 0.625
Te 0.156 0.590 0.875
Te 0.157 0.597 0.197
Te 0.403 0.843 0.303
Te 0.843 0.403 0.803
Te 0.597 0.157 0.697
O 0.686 0.807 0.373
O 0.193 0.314 0.127
O 0.314 0.193 0.627
O 0.807 0.686 0.873
O 0.243 0.342 0.449
O 0.658 0.757 0.051
O 0.757 0.658 0.551
O 0.342 0.243 0.949
O 0.830 0.033 0.457
O 0.967 0.170 0.043
O 0.170 0.967 0.543
O 0.033 0.830 0.957
O 0.452 0.596 0.406
O 0.404 0.548 0.094
O 0.548 0.404 0.594
O 0.596 0.452 0.906
O 0.088 0.210 0.335
O 0.790 0.912 0.165
O 0.912 0.790 0.665
O 0.210 0.088 0.835
O 0.143 0.857 0.250
O 0.857 0.143 0.750

Properties
Its formation energy is -53.3 kcal/mol of atoms. The value obtained for the total energy is -6.34 eV/atom. The calculation puts the MP2020-corrected energy at -0.499 Ry per atom.

=====

(3)
This record from the Materials Project database describes an optimized crystal structure of Na3AlSe3. The functional is PBE.

abc: 7.298 7.567 15.272
angles: 60.46 90.00 90.00
Fractional positions:
Na 0.027 0.939 0.286
Na 0.527 0.061 0.214
Na 0.973 0.061 0.714
Na 0.473 0.939 0.786
Na 0.997 0.729 0.110
Na 0.497 0.271 0.390
Na 0.003 0.271 0.890
Na 0.503 0.729 0.610
Na 0.997 0.308 0.398
Na 0.497 0.692 0.102
Na 0.003 0.692 0.602
Na 0.503 0.308 0.898
Al 0.640 0.662 0.420
Al 0.140 0.338 0.080
Al 0.360 0.338 0.580
Al 0.860 0.662 0.920
Se 0.804 0.346 0.073
Se 0.304 0.654 0.427
Se 0.196 0.654 0.927
Se 0.696 0.346 0.573
Se 0.241 0.346 0.226
Se 0.741 0.654 0.274
Se 0.759 0.654 0.774
Se 0.259 0.346 0.726
Se 0.755 0.947 0.427
Se 0.255 0.053 0.073
Se 0.245 0.053 0.573
Se 0.745 0.947 0.927

Properties
Its formation energy is -29.7 kcal/mol of atoms. The value obtained for the total energy is -3.69 eV/atom. The calculation puts the MP2020-corrected energy at -0.286 Ry per atom.

=====

(4)
This record from the Materials Project database describes an optimized crystal structure of NdSiBO5. The functional is PBE.

abc: 6.873 6.873 6.701
angles: 90.00 90.00 120.00
Fractional positions:
Nd 0.748 0.665 0.664
Nd 0.335 0.082 0.997
Nd 0.918 0.252 0.331
Si 0.752 0.667 0.162
Si 0.333 0.085 0.495
Si 0.915 0.248 0.829
B 0.233 0.681 0.691
B 0.319 0.552 0.024
B 0.448 0.767 0.358
O 0.685 0.824 0.306
O 0.176 0.861 0.639
O 0.139 0.315 0.973
O 0.474 0.001 0.349
O 0.999 0.474 0.682
O 0.526 0.526 0.015
O 0.795 0.523 0.330
O 0.477 0.272 0.663
O 0.728 0.205 0.997
O 0.197 0.140 0.330
O 0.860 0.056 0.664
O 0.944 0.803 0.997
O 0.327 0.722 0.890
O 0.278 0.605 0.224
O 0.395 0.673 0.557

Properties
Its formation energy is -78.4 kcal/mol of atoms. The value obtained for the total energy is -8.17 eV/atom. The magnetization is 0.000 μB per formula unit. The calculation puts the MP2020-corrected energy at -0.632 Ry per atom.

=====

(5)
This record from the Materials Project database describes an optimized crystal structure of CeGa3Pd. The functional is PBE.

abc: 4.311 4.311 6.115
angles: 69.36 69.36 90.00
Fractional positions:
Ce 0.984 0.984 0.033
Ga 0.747 0.247 0.507
Ga 0.247 0.747 0.507
Ga 0.397 0.397 0.207
Pd 0.627 0.627 0.747

Properties
Its formation energy is -15.5 kcal/mol of atoms. The value obtained for the total energy is -4.71 eV/atom. The magnetization is 0.389 μB per formula unit. The polymorph energy (0 for the lowest one) comes out at 12 meV/atom.

=====

(6)
This record from the Materials Project database describes an optimized crystal structure of Er3Si12Ru4. The functional is PBE.

abc: 10.104 10.104 8.120
angles: 90.00 90.00 132.64
Fractional positions:
Er 0.497 0.997 0.250
Er 0.003 0.503 0.750
Er 0.503 0.003 0.750
Er 0.997 0.497 0.250
Er 0.500 0.500 0.500
Er 0.000 0.000 0.000
Si 0.388 0.154 0.006
Si 0.654 0.888 0.494
Si 0.112 0.346 0.506
Si 0.846 0.612 0.994
Si 0.612 0.846 0.994
Si 0.346 0.112 0.506
Si 0.888 0.654 0.494
Si 0.154 0.388 0.006
Si 0.613 0.378 0.229
Si 0.878 0.113 0.271
Si 0.887 0.122 0.729
Si 0.622 0.387 0.771
Si 0.387 0.622 0.771
Si 0.122 0.887 0.729
Si 0.705 0.295 0.000
Si 0.795 0.205 0.500
Si 0.295 0.705 0.000
Si 0.205 0.795 0.500
Si 0.167 0.167 0.333
Si 0.667 0.667 0.167
Si 0.333 0.333 0.833
Si 0.833 0.833 0.667
Si 0.378 0.613 0.229
Si 0.113 0.878 0.271
Ru 0.627 0.627 0.873
Ru 0.127 0.127 0.627
Ru 0.873 0.873 0.373
Ru 0.373 0.373 0.127
Ru 0.330 0.670 0.500
Ru 0.170 0.830 0.000
Ru 0.670 0.330 0.500
Ru 0.830 0.170 0.000

Properties
Its formation energy is -14.8 kcal/mol of atoms. The value obtained for the total energy is -6.74 eV/atom.

=====

(7)
This record from the Materials Project database describes an optimized crystal structure of Na5Al2Ga2P5SO24. The functional is PBE.

abc: 8.576 8.597 21.744
angles: 90.38 89.82 119.91
Fractional positions:
Na 0.640 0.000 0.250
Na 0.998 0.363 0.750
Na 0.365 0.000 0.750
Na 0.030 0.699 0.583
Na 0.667 0.969 0.583
Na 0.301 0.970 0.082
Na 0.034 0.335 0.083
Na 0.973 0.667 0.917
Na 0.702 0.668 0.417
Na 0.010 0.010 0.500
Na 0.998 0.004 0.999
Na 0.660 0.329 0.834
Na 0.675 0.337 0.333
Na 0.335 0.657 0.167
Na 0.339 0.659 0.667
Al 0.009 0.012 0.851
Al 0.004 0.005 0.649
Al 0.665 0.339 0.685
Al 0.663 0.321 0.982
Al 0.333 0.669 0.520
Al 0.334 0.668 0.814
Ga 0.990 0.996 0.352
Ga 0.990 0.997 0.148
Ga 0.675 0.347 0.184
Ga 0.674 0.328 0.483
Ga 0.333 0.665 0.017
Ga 0.326 0.659 0.316
P 0.706 0.703 0.251
P 0.004 0.295 0.250
P 0.293 0.293 0.750
P 0.994 0.711 0.750
P 0.711 0.995 0.750
P 0.963 0.333 0.585
P 0.375 0.048 0.584
P 0.662 0.621 0.583
P 0.952 0.624 0.081
P 0.665 0.042 0.083
P 0.383 0.338 0.082
P 0.041 0.371 0.916
P 0.336 0.962 0.916
P 0.619 0.959 0.417
P 0.046 0.668 0.418
S 0.289 0.001 0.250
S 0.623 0.667 0.916
S 0.331 0.375 0.418
O 0.209 0.032 0.305
O 0.820 0.783 0.309
O 0.964 0.171 0.306
O 0.210 0.169 0.806
O 0.967 0.797 0.809
O 0.835 0.035 0.806
O 0.794 0.966 0.691
O 0.168 0.208 0.694
O 0.036 0.831 0.693
O 0.788 0.828 0.195
O 0.037 0.215 0.191
O 0.182 0.969 0.193
O 0.877 0.372 0.642
O 0.498 0.128 0.641
O 0.633 0.502 0.639
O 0.880 0.504 0.138
O 0.624 0.117 0.142
O 0.492 0.367 0.141
O 0.468 0.299 0.026
O 0.837 0.538 0.023
O 0.703 0.167 0.028
O 0.456 0.162 0.527
O 0.706 0.547 0.525
O 0.840 0.288 0.528
O 0.549 0.702 0.972
O 0.155 0.451 0.975
O 0.294 0.842 0.974
O 0.535 0.834 0.474
O 0.302 0.460 0.473
O 0.160 0.695 0.476
O 0.126 0.632 0.360
O 0.510 0.876 0.358
O 0.370 0.487 0.362
O 0.129 0.497 0.859
O 0.366 0.871 0.859
O 0.508 0.636 0.861
O 0.026 0.838 0.412
O 0.808 0.973 0.413
O 0.169 0.196 0.411
O 0.020 0.184 0.907
O 0.161 0.973 0.908
O 0.806 0.827 0.909
O 0.977 0.162 0.593
O 0.183 0.018 0.592
O 0.832 0.811 0.592
O 0.980 0.815 0.088
O 0.838 0.029 0.087
O 0.192 0.165 0.088
O 0.690 0.166 0.743
O 0.478 0.307 0.742
O 0.831 0.519 0.743
O 0.687 0.517 0.245
O 0.827 0.303 0.244
O 0.472 0.161 0.245
O 0.643 0.506 0.922
O 0.856 0.362 0.923
O 0.504 0.148 0.924
O 0.638 0.145 0.423
O 0.495 0.360 0.423
O 0.853 0.503 0.423
O 0.354 0.501 0.077
O 0.144 0.645 0.076
O 0.496 0.856 0.076
O 0.357 0.857 0.577
O 0.497 0.646 0.575
O 0.147 0.505 0.576
O 0.311 0.840 0.255
O 0.521 0.694 0.257
O 0.171 0.481 0.256
O 0.308 0.479 0.759
O 0.166 0.690 0.757
O 0.520 0.831 0.758

Properties
Its formation energy is -60.8 kcal/mol of atoms. The value obtained for the total energy is -6.58 eV/atom. The magnetization is 0.000 μB per formula unit. The calculation puts the MP2020-corrected energy at -0.514 Ry per atom.

=====

(8)
This record from the Materials Project database describes an optimized crystal structure of Ba4TiNb9O18. The functional is PBE.

abc: 4.210 4.210 24.803
angles: 90.00 90.00 90.00
Fractional positions:
Ba 0.000 0.000 0.416
Ba 0.000 0.000 0.923
Ba 0.000 0.000 0.077
Ba 0.000 0.000 0.584
Ti 0.500 0.500 0.000
Nb 0.000 0.500 0.249
Nb 0.000 0.500 0.751
Nb 0.500 0.000 0.249
Nb 0.500 0.000 0.751
Nb 0.500 0.500 0.500
Nb 0.500 0.500 0.332
Nb 0.500 0.500 0.834
Nb 0.500 0.500 0.166
Nb 0.500 0.500 0.668
O 0.500 0.000 0.336
O 0.500 0.000 0.836
O 0.000 0.500 0.336
O 0.000 0.500 0.836
O 0.500 0.000 0.164
O 0.500 0.000 0.664
O 0.000 0.500 0.164
O 0.000 0.500 0.664
O 0.000 0.500 0.000
O 0.000 0.500 0.500
O 0.500 0.000 0.000
O 0.500 0.000 0.500
O 0.500 0.500 0.419
O 0.500 0.500 0.920
O 0.500 0.500 0.080
O 0.500 0.500 0.581
O 0.000 0.000 0.250
O 0.000 0.000 0.750

Properties
Its formation energy is -67.3 kcal/mol of atoms. The value obtained for the total energy is -8.64 eV/atom. The magnetization is 0.004 μB per formula unit. The calculation puts the MP2020-corrected energy at -0.664 Ry per atom.

=====

(9)
This record from the Materials Project database describes an optimized crystal structure of CaMg6Al. The functional is PBE.

abc: 5.137 6.592 11.347
angles: 90.00 90.00 90.00
Fractional positions:
Ca 0.500 0.500 0.171
Ca 0.500 0.000 0.671
Mg 0.000 0.241 0.080
Mg 0.000 0.759 0.080
Mg 0.000 0.500 0.833
Mg 0.500 0.242 0.917
Mg 0.500 0.758 0.917
Mg 0.500 0.500 0.664
Mg 0.000 0.741 0.580
Mg 0.000 0.259 0.580
Mg 0.000 0.000 0.333
Mg 0.500 0.742 0.417
Mg 0.500 0.258 0.417
Mg 0.500 0.000 0.164
Al 0.000 0.500 0.337
Al 0.000 0.000 0.837

Properties
Its formation energy is 0.3 kcal/mol of atoms. The value obtained for the total energy is -1.91 eV/atom. The magnetization is 0.004 μB per formula unit. The polymorph energy (0 for the lowest one) comes out at 3 meV/atom.

=====

(10)
This record from the Materials Project database describes an optimized crystal structure of Mg6SiSn. The functional is PBE.

abc: 5.098 6.464 10.544
angles: 90.00 90.00 90.00
Fractional positions:
Mg 0.500 0.250 0.084
Mg 0.500 0.750 0.084
Mg 0.000 0.259 0.914
Mg 0.000 0.741 0.914
Mg 0.000 0.500 0.166
Mg 0.000 0.500 0.671
Mg 0.500 0.750 0.584
Mg 0.500 0.250 0.584
Mg 0.000 0.759 0.414
Mg 0.000 0.241 0.414
Mg 0.000 0.000 0.666
Mg 0.000 0.000 0.171
Si 0.500 0.500 0.832
Si 0.500 0.000 0.332
Sn 0.500 0.500 0.334
Sn 0.500 0.000 0.834

Properties
Its formation energy is 0.4 kcal/mol of atoms. The value obtained for the total energy is -2.36 eV/atom. The magnetization is 0.003 μB per formula unit.

=====

(11)
This record from the Materials Project database describes an optimized crystal structure of EuMgZn2. The functional is PBE.

abc: 4.984 4.984 4.984
angles: 60.00 60.00 60.00
Fractional positions:
Eu 0.500 0.500 0.500
Mg 0.000 0.000 0.000
Zn 0.250 0.250 0.250
Zn 0.750 0.750 0.750

Properties
Its formation energy is -5.6 kcal/mol of atoms. The value obtained for the total energy is -3.84 eV/atom.